No. 1
Rb2LiNbS4: relaxed, PBE.

a b c (Å): 7.188 11.569 12.070
angles (deg): 71.53 87.68 83.72
Positions (direct):
1 Rb 0.184 0.097 0.250
2 Rb 0.236 0.624 0.723
3 Rb 0.251 0.650 0.349
4 Rb 0.252 0.155 0.857
5 Rb 0.748 0.845 0.143
6 Rb 0.749 0.350 0.651
7 Rb 0.764 0.376 0.277
8 Rb 0.816 0.903 0.750
9 Li 0.278 0.478 0.071
10 Li 0.323 0.989 0.585
11 Li 0.677 0.011 0.415
12 Li 0.722 0.522 0.929
13 Nb 0.276 0.273 0.486
14 Nb 0.282 0.769 0.986
15 Nb 0.718 0.231 0.014
16 Nb 0.724 0.727 0.514
17 S 0.032 0.660 0.994
18 S 0.046 0.144 0.531
19 S 0.232 0.895 0.099
20 S 0.247 0.400 0.597
21 S 0.262 0.379 0.290
22 S 0.329 0.882 0.795
23 S 0.447 0.853 0.468
24 S 0.468 0.374 0.940
25 S 0.532 0.626 0.060
26 S 0.553 0.147 0.532
27 S 0.671 0.118 0.205
28 S 0.738 0.621 0.710
29 S 0.753 0.600 0.403
30 S 0.768 0.105 0.901
31 S 0.954 0.856 0.469
32 S 0.968 0.340 0.006

Energy relative to the elements ... -1.4727 eV per atom
MP2020-corrected energy ... -169.2 eV per cell
Space-group type ... P-1 (2)

***

No. 2
LiNbRh2: relaxed, PBE.

a b c (Å): 4.355 4.355 4.355
angles (deg): 60.00 60.00 60.00
Positions (direct):
1 Li 0.000 0.000 0.000
2 Nb 0.500 0.500 0.500
3 Rh 0.250 0.250 0.250
4 Rh 0.750 0.750 0.750

Energy relative to the elements ... -0.4422 eV per atom
Space-group type ... Fm-3m (225)

***

No. 3
LiNbRu2: relaxed, PBE.

a b c (Å): 4.339 4.339 4.339
angles (deg): 60.00 60.00 60.00
Positions (direct):
1 Li 0.000 0.000 0.000
2 Nb 0.500 0.500 0.500
3 Ru 0.250 0.250 0.250
4 Ru 0.750 0.750 0.750

Energy relative to the elements ... -0.0986 eV per atom
Space-group type ... Fm-3m (225)

***

No. 4
Li3NbS4: relaxed, PBE.

a b c (Å): 7.558 10.308 8.782
angles (deg): 90.00 90.00 90.00
Positions (direct):
1 Li 0.027 0.250 0.092
2 Li 0.161 0.574 0.241
3 Li 0.161 0.926 0.241
4 Li 0.339 0.074 0.741
5 Li 0.339 0.426 0.741
6 Li 0.473 0.750 0.592
7 Li 0.527 0.250 0.408
8 Li 0.661 0.574 0.259
9 Li 0.661 0.926 0.259
10 Li 0.839 0.074 0.759
11 Li 0.839 0.426 0.759
12 Li 0.973 0.750 0.908
13 Nb 0.129 0.250 0.504
14 Nb 0.371 0.750 0.004
15 Nb 0.629 0.250 0.996
16 Nb 0.871 0.750 0.496
17 S 0.085 0.250 0.765
18 S 0.131 0.750 0.619
19 S 0.204 0.568 0.950
20 S 0.204 0.932 0.950
21 S 0.296 0.068 0.450
22 S 0.296 0.432 0.450
23 S 0.369 0.250 0.119
24 S 0.415 0.750 0.265
25 S 0.585 0.250 0.735
26 S 0.631 0.750 0.881
27 S 0.704 0.568 0.550
28 S 0.704 0.932 0.550
29 S 0.796 0.068 0.050
30 S 0.796 0.432 0.050
31 S 0.869 0.250 0.381
32 S 0.915 0.750 0.235

Energy relative to the elements ... -1.3202 eV per atom
MP2020-corrected energy ... -171.7 eV per cell
Space-group type ... Pnma (62)
ΔE to the lowest computed polymorph ... 0.077 eV per atom

***

No. 5
Li8NbS6: relaxed, PBE.

a b c (Å): 6.964 6.964 13.486
angles (deg): 90.00 90.00 120.00
Positions (direct):
1 Li 0.000 0.319 0.000
2 Li 0.000 0.377 0.366
3 Li 0.000 0.623 0.866
4 Li 0.000 0.681 0.500
5 Li 0.319 0.000 0.000
6 Li 0.319 0.319 0.500
7 Li 0.333 0.667 0.134
8 Li 0.333 0.667 0.634
9 Li 0.377 0.000 0.366
10 Li 0.377 0.377 0.866
11 Li 0.623 0.000 0.866
12 Li 0.623 0.623 0.366
13 Li 0.667 0.333 0.134
14 Li 0.667 0.333 0.634
15 Li 0.681 0.000 0.500
16 Li 0.681 0.681 0.000
17 Nb 0.000 0.000 0.232
18 Nb 0.000 0.000 0.732
19 S 0.000 0.000 0.410
20 S 0.000 0.000 0.910
21 S 0.000 0.322 0.184
22 S 0.000 0.678 0.684
23 S 0.322 0.000 0.184
24 S 0.322 0.322 0.684
25 S 0.333 0.667 0.450
26 S 0.333 0.667 0.950
27 S 0.667 0.333 0.450
28 S 0.667 0.333 0.950
29 S 0.678 0.000 0.684
30 S 0.678 0.678 0.184

Energy relative to the elements ... -1.3919 eV per atom
MP2020-corrected energy ... -142.1 eV per cell
Space-group type ... P6_3cm (185)
ΔE to the lowest computed polymorph ... 0.011 eV per atom

***

No. 6
Li3NbS4: relaxed, PBE.

a b c (Å): 6.105 6.105 6.105
angles (deg): 90.00 90.00 90.00
Positions (direct):
1 Li 0.000 0.000 0.500
2 Li 0.000 0.500 0.000
3 Li 0.500 0.000 0.000
4 Nb 0.000 0.000 0.000
5 S 0.216 0.216 0.216
6 S 0.216 0.784 0.784
7 S 0.784 0.216 0.784
8 S 0.784 0.784 0.216

Energy relative to the elements ... -1.3907 eV per atom
MP2020-corrected energy ... -43.5 eV per cell
Largest piezoelectric modulus ... 0.01 C/m²
Space-group type ... P-43m (215)
ΔE to the lowest computed polymorph ... 0.006 eV per atom

***

No. 7
Li3NbS4: relaxed, PBE.

a b c (Å): 13.831 13.314 18.435
angles (deg): 48.41 46.05 85.53
Positions (direct):
1 Li 0.001 0.001 0.999
2 Li 0.152 0.348 0.601
3 Li 0.157 0.856 0.401
4 Li 0.217 0.706 0.292
5 Li 0.251 0.251 0.249
6 Li 0.288 0.377 0.934
7 Li 0.316 0.849 0.962
8 Li 0.323 0.783 0.492
9 Li 0.348 0.152 0.899
10 Li 0.351 0.649 0.902
11 Li 0.377 0.288 0.401
12 Li 0.465 0.958 0.544
13 Li 0.487 0.487 0.513
14 Li 0.649 0.351 0.098
15 Li 0.664 0.849 0.394
16 Li 0.706 0.217 0.785
17 Li 0.737 0.737 0.763
18 Li 0.758 0.848 0.927
19 Li 0.783 0.323 0.402
20 Li 0.848 0.758 0.467
21 Li 0.849 0.316 0.873
22 Li 0.849 0.664 0.093
23 Li 0.856 0.157 0.586
24 Li 0.958 0.465 0.033
25 Nb 0.034 0.823 0.696
26 Nb 0.054 0.311 0.933
27 Nb 0.311 0.054 0.701
28 Nb 0.317 0.549 0.196
29 Nb 0.549 0.317 0.939
30 Nb 0.554 0.804 0.216
31 Nb 0.804 0.554 0.427
32 Nb 0.823 0.034 0.446
33 S 0.031 0.343 0.152
34 S 0.054 0.103 0.088
35 S 0.087 0.366 0.490
36 S 0.098 0.777 0.219
37 S 0.103 0.054 0.755
38 S 0.124 0.332 0.766
39 S 0.162 0.495 0.196
40 S 0.193 0.760 0.884
41 S 0.259 0.687 0.414
42 S 0.268 0.609 0.729
43 S 0.332 0.124 0.777
44 S 0.343 0.031 0.473
45 S 0.366 0.087 0.057
46 S 0.473 0.484 0.918
47 S 0.484 0.473 0.126
48 S 0.495 0.162 0.147
49 S 0.521 0.857 0.982
50 S 0.538 0.586 0.273
51 S 0.586 0.538 0.603
52 S 0.609 0.268 0.393
53 S 0.610 0.836 0.563
54 S 0.631 0.831 0.282
55 S 0.647 0.977 0.664
56 S 0.687 0.259 0.640
57 S 0.760 0.193 0.163
58 S 0.777 0.098 0.907
59 S 0.831 0.631 0.256
60 S 0.836 0.610 0.991
61 S 0.857 0.521 0.641
62 S 0.968 0.994 0.619
63 S 0.977 0.647 0.712
64 S 0.994 0.968 0.419

Energy relative to the elements ... -1.3368 eV per atom
MP2020-corrected energy ... -344.5 eV per cell
Space-group type ... Fdd2 (43)
ΔE to the lowest computed polymorph ... 0.060 eV per atom

***

No. 8
Li7NbS6: relaxed, PBE.

a b c (Å): 7.191 7.256 12.417
angles (deg): 90.00 123.92 90.00
Positions (direct):
1 Li 0.000 0.018 0.000
2 Li 0.000 0.982 0.500
3 Li 0.016 0.416 0.919
4 Li 0.016 0.584 0.419
5 Li 0.180 0.477 0.715
6 Li 0.180 0.523 0.215
7 Li 0.388 0.132 0.901
8 Li 0.388 0.868 0.401
9 Li 0.648 0.234 0.752
10 Li 0.648 0.766 0.252
11 Li 0.707 0.407 0.532
12 Li 0.707 0.593 0.032
13 Li 0.896 0.092 0.188
14 Li 0.896 0.908 0.688
15 Nb 0.513 0.254 0.229
16 Nb 0.513 0.746 0.729
17 S 0.354 0.239 0.344
18 S 0.354 0.761 0.844
19 S 0.388 0.483 0.606
20 S 0.388 0.517 0.106
21 S 0.406 0.003 0.095
22 S 0.406 0.997 0.595
23 S 0.770 0.269 0.982
24 S 0.770 0.731 0.482
25 S 0.894 0.256 0.368
26 S 0.894 0.744 0.868
27 S 0.987 0.237 0.740
28 S 0.987 0.763 0.240

Energy relative to the elements ... -1.3761 eV per atom
MP2020-corrected energy ... -135.1 eV per cell
Space-group type ... Pc (7)
ΔE to the lowest computed polymorph ... 0.001 eV per atom

***

No. 9
Li7NbS6: relaxed, PBE.

a b c (Å): 10.182 10.182 10.182
angles (deg): 90.00 90.00 90.00
Positions (direct):
1 Li 0.010 0.281 0.190
2 Li 0.022 0.835 0.678
3 Li 0.116 0.616 0.884
4 Li 0.165 0.178 0.478
5 Li 0.178 0.478 0.165
6 Li 0.190 0.010 0.281
7 Li 0.219 0.810 0.510
8 Li 0.281 0.190 0.010
9 Li 0.310 0.990 0.781
10 Li 0.322 0.522 0.665
11 Li 0.335 0.822 0.978
12 Li 0.384 0.384 0.384
13 Li 0.478 0.165 0.178
14 Li 0.490 0.719 0.690
15 Li 0.510 0.219 0.810
16 Li 0.522 0.665 0.322
17 Li 0.616 0.884 0.116
18 Li 0.665 0.322 0.522
19 Li 0.678 0.022 0.835
20 Li 0.690 0.490 0.719
21 Li 0.719 0.690 0.490
22 Li 0.781 0.310 0.990
23 Li 0.810 0.510 0.219
24 Li 0.822 0.978 0.335
25 Li 0.835 0.678 0.022
26 Li 0.884 0.116 0.616
27 Li 0.978 0.335 0.822
28 Li 0.990 0.781 0.310
29 Nb 0.009 0.491 0.509
30 Nb 0.491 0.509 0.009
31 Nb 0.509 0.009 0.491
32 Nb 0.991 0.991 0.991
33 S 0.026 0.974 0.474
34 S 0.111 0.122 0.854
35 S 0.122 0.854 0.111
36 S 0.138 0.362 0.638
37 S 0.146 0.611 0.378
38 S 0.245 0.245 0.245
39 S 0.255 0.755 0.745
40 S 0.354 0.389 0.878
41 S 0.362 0.638 0.138
42 S 0.378 0.146 0.611
43 S 0.389 0.878 0.354
44 S 0.474 0.026 0.974
45 S 0.526 0.526 0.526
46 S 0.611 0.378 0.146
47 S 0.622 0.646 0.889
48 S 0.638 0.138 0.362
49 S 0.646 0.889 0.622
50 S 0.745 0.255 0.755
51 S 0.755 0.745 0.255
52 S 0.854 0.111 0.122
53 S 0.862 0.862 0.862
54 S 0.878 0.354 0.389
55 S 0.889 0.622 0.646
56 S 0.974 0.474 0.026

Energy relative to the elements ... -1.3768 eV per atom
MP2020-corrected energy ... -270.2 eV per cell
Space-group type ... P2_13 (198)
ΔE to the lowest computed polymorph ... 0.000 eV per atom

***

No. 10
Li3NbS4: relaxed, PBE.

a b c (Å): 8.966 8.966 8.966
angles (deg): 109.47 109.47 109.47
Positions (direct):
1 Li 0.000 0.239 0.499
2 Li 0.000 0.499 0.239
3 Li 0.239 0.000 0.499
4 Li 0.239 0.499 0.000
5 Li 0.260 0.761 0.761
6 Li 0.499 0.000 0.239
7 Li 0.499 0.239 0.000
8 Li 0.501 0.501 0.740
9 Li 0.501 0.740 0.501
10 Li 0.740 0.501 0.501
11 Li 0.761 0.260 0.761
12 Li 0.761 0.761 0.260
13 Nb 0.000 0.000 0.718
14 Nb 0.000 0.718 0.000
15 Nb 0.282 0.282 0.282
16 Nb 0.718 0.000 0.000
17 S 0.000 0.000 0.228
18 S 0.000 0.228 0.000
19 S 0.000 0.515 0.755
20 S 0.000 0.755 0.515
21 S 0.228 0.000 0.000
22 S 0.241 0.485 0.485
23 S 0.245 0.245 0.759
24 S 0.245 0.759 0.245
25 S 0.485 0.241 0.485
26 S 0.485 0.485 0.241
27 S 0.515 0.000 0.755
28 S 0.515 0.755 0.000
29 S 0.755 0.000 0.515
30 S 0.755 0.515 0.000
31 S 0.759 0.245 0.245
32 S 0.772 0.772 0.772

Energy relative to the elements ... -1.3969 eV per atom
MP2020-corrected energy ... -174.2 eV per cell
Space-group type ... I-43m (217)
ΔE to the lowest computed polymorph ... 0.000 eV per atom

***

No. 11
Li8NbS6: relaxed, PBE.

a b c (Å): 7.285 7.285 7.285
angles (deg): 55.29 55.29 55.29
Positions (direct):
1 Li 0.020 0.396 0.726
2 Li 0.159 0.159 0.159
3 Li 0.274 0.980 0.604
4 Li 0.396 0.726 0.020
5 Li 0.604 0.274 0.980
6 Li 0.726 0.020 0.396
7 Li 0.841 0.841 0.841
8 Li 0.980 0.604 0.274
9 Nb 0.500 0.500 0.500
10 S 0.116 0.739 0.411
11 S 0.261 0.589 0.884
12 S 0.411 0.116 0.739
13 S 0.589 0.884 0.261
14 S 0.739 0.411 0.116
15 S 0.884 0.261 0.589

Energy relative to the elements ... -1.4028 eV per atom
MP2020-corrected energy ... -71.2 eV per cell
Space-group type ... R-3 (148)
ΔE to the lowest computed polymorph ... 0.000 eV per atom